(1)
First-principles (PBE with a Hubbard U) data for an optimized crystal structure of MgCoP2O7, as listed in Materials Project.

abc: 7.0801 9.5631 8.3254
angles: 100.64 82.04 109.05
Element x y z (fractional)
O (0.4925, 0.2184, 0.9664)
O (0.8172, 0.0420, 0.0102)
Mg (0.3121, 0.4279, 0.2664)
O (0.9172, 0.7717, 0.1408)
O (0.2315, 0.5632, 0.1518)
O (0.3923, 0.5295, 0.8574)
O (0.0829, 0.2284, 0.8596)
Mg (0.8126, 0.9285, 0.7661)
O (0.0080, 0.2821, 0.5334)
Mg (0.6874, 0.5719, 0.7334)
O (0.6640, 0.1807, 0.4242)
O (0.7323, 0.0644, 0.6519)
O (0.2683, 0.9359, 0.3483)
O (0.1016, 0.2399, 0.1628)
P (0.1663, 0.8609, 0.4962)
P (0.3331, 0.6387, 0.0041)
O (0.8370, 0.3197, 0.0751)
O (0.8976, 0.7599, 0.8378)
Co (0.8034, 0.6155, 0.2999)
P (0.6664, 0.3613, 0.9960)
O (0.5834, 0.7295, 0.3600)
P (0.0384, 0.7962, 0.9739)
Co (0.6967, 0.8853, 0.1991)
O (0.1073, 0.9707, 0.6423)
O (0.1822, 0.9579, 0.9898)
O (0.3365, 0.8194, 0.5761)
O (0.3184, 0.5420, 0.5100)
P (0.4616, 0.7040, 0.5264)
O (0.7680, 0.4364, 0.8480)
O (0.3985, 0.2595, 0.3368)
Co (0.1969, 0.3844, 0.7000)
Mg (0.1876, 0.0714, 0.2337)
P (0.8342, 0.1390, 0.5037)
O (0.4171, 0.2706, 0.6400)
P (0.9613, 0.2038, 0.0263)
O (0.6077, 0.4709, 0.1424)
O (0.1624, 0.6801, 0.9251)
Co (0.3038, 0.1150, 0.7998)
P (0.5388, 0.2960, 0.4734)
O (0.5061, 0.7819, 0.0344)
O (0.6818, 0.4580, 0.4899)
O (0.6020, 0.7405, 0.6630)
O (0.9927, 0.7178, 0.4663)
O (0.8928, 0.0291, 0.3577)

Calculated values
ΔE to the lowest computed polymorph: 2.2 kJ/mol of atoms
ΔE_f: -250.4 kJ/mol of atoms



(2)
First-principles (PBE with a Hubbard U) data for an optimized crystal structure of NaMnO2, as listed in Materials Project.

abc: 4.4688 5.4003 4.4861
angles: 65.48 90.01 65.62
Element x y z (fractional)
O (0.9075, 0.6858, 0.6589)
O (0.0950, 0.3122, 0.3462)
O (0.3464, 0.8121, 0.0910)
Mn (0.8762, 0.7487, 0.1227)
Mn (0.1248, 0.2493, 0.8723)
Na (0.6276, 0.2463, 0.3757)
O (0.6611, 0.1859, 0.9062)
Na (0.3750, 0.7507, 0.6213)

Calculated values
ΔE to the lowest computed polymorph: 10.9 kJ/mol of atoms
ΔE_f: -185.0 kJ/mol of atoms



(3)
First-principles (PBE with a Hubbard U) data for an optimized crystal structure of Li5Nb2Fe3O10, as listed in Materials Project.

abc: 5.3359 7.9827 10.5259
angles: 108.01 80.86 108.89
Element x y z (fractional)
O (0.7821, 0.7550, 0.6185)
Fe (0.6940, 0.8958, 0.5012)
O (0.1571, 0.5459, 0.1188)
O (0.0493, 0.8394, 0.8779)
Li (0.2280, 0.3986, 0.2424)
O (0.4222, 0.6480, 0.8790)
Nb (0.1060, 0.6889, 0.9910)
O (0.3352, 0.9390, 0.6163)
O (0.6647, 0.0610, 0.8834)
Li (0.6028, 0.2033, 0.2531)
O (0.8435, 0.4542, 0.8814)
Nb (0.8942, 0.3119, 0.0094)
Li (0.7727, 0.6013, 0.7573)
Fe (0.3069, 0.1058, 0.4990)
Fe (0.0002, 0.0000, 0.2501)
O (0.0505, 0.8400, 0.3783)
Li (0.7720, 0.6013, 0.2576)
O (0.5779, 0.3524, 0.6212)
O (0.1564, 0.5458, 0.6186)
O (0.5779, 0.3528, 0.1211)
Li (0.2275, 0.3988, 0.7427)
Nb (0.1056, 0.6879, 0.4905)
O (0.8430, 0.4539, 0.3811)
O (0.9494, 0.1597, 0.1215)
O (0.3364, 0.9400, 0.1170)
Li (0.3971, 0.7967, 0.2469)
Fe (0.3062, 0.1042, 0.9987)
O (0.4221, 0.6471, 0.3789)
Fe (0.6931, 0.8941, 0.0010)
Fe (0.0002, 0.0000, 0.7500)
Li (0.5001, 0.5003, 0.5000)
Li (0.6025, 0.2036, 0.7535)
Li (0.3973, 0.7964, 0.7466)
O (0.2179, 0.2449, 0.3815)
O (0.9508, 0.1606, 0.6221)
Nb (0.8938, 0.3111, 0.5091)
O (0.7823, 0.7553, 0.1188)
Li (0.4996, 0.4997, 0.0000)
O (0.2180, 0.2451, 0.8814)
O (0.6637, 0.0601, 0.3831)

Calculated values
ΔE_f: -221.0 kJ/mol of atoms



(4)
First-principles (PBE with a Hubbard U) data for an optimized crystal structure of La6Sm2Co7AgO24, as listed in Materials Project.

abc: 7.6651 7.6651 7.6891
angles: 90.00 90.00 90.04
Element x y z (fractional)
O (0.2496, 0.5058, 0.5000)
Ag (0.5008, 0.4992, 0.0000)
O (0.4942, 0.7504, 0.5000)
O (0.4967, 0.9970, 0.2528)
O (0.0035, 0.9965, 0.2518)
O (0.0035, 0.9965, 0.7482)
O (0.2490, 0.9938, 0.5000)
La (0.2473, 0.2469, 0.2527)
O (0.0007, 0.2477, 0.0000)
O (0.0062, 0.7510, 0.5000)
O (0.2376, 0.5080, 0.0000)
O (0.0042, 0.7521, 0.0000)
Co (0.0013, 0.9987, 0.0000)
O (0.4932, 0.5068, 0.7386)
O (0.7523, 0.9993, 0.0000)
La (0.7531, 0.7527, 0.2527)
O (0.2479, 0.9958, 0.0000)
La (0.7536, 0.2464, 0.2532)
Sm (0.2469, 0.7531, 0.2543)
Co (0.0010, 0.9990, 0.5000)
La (0.7531, 0.7527, 0.7473)
Sm (0.2469, 0.7531, 0.7457)
O (0.0030, 0.5033, 0.2528)
O (0.0030, 0.5033, 0.7472)
Co (0.0014, 0.4998, 0.0000)
O (0.0003, 0.2488, 0.5000)
O (0.4920, 0.7624, 0.0000)
Co (0.0015, 0.5004, 0.5000)
La (0.2473, 0.2469, 0.7473)
O (0.4932, 0.5068, 0.2614)
O (0.7507, 0.5000, 0.5000)
O (0.5000, 0.2493, 0.5000)
Co (0.5002, 0.9986, 0.0000)
O (0.7512, 0.9997, 0.5000)
La (0.7536, 0.2464, 0.7468)
O (0.4967, 0.9970, 0.7472)
O (0.7638, 0.5016, 0.0000)
O (0.4984, 0.2362, 0.0000)
Co (0.4996, 0.9985, 0.5000)
Co (0.5015, 0.4985, 0.5000)

Calculated values
ΔE_f: -232.3 kJ/mol of atoms



(5)
First-principles (PBE with a Hubbard U) data for an optimized crystal structure of Li4Ti3V2Sn3O16, as listed in Materials Project.

abc: 6.1638 6.1638 9.9137
angles: 89.52 89.52 59.73
Element x y z (fractional)
O (0.4810, 0.4810, 0.8268)
Li (0.6697, 0.6697, 0.8862)
Ti (0.8325, 0.8325, 0.2168)
O (0.5194, 0.5194, 0.3417)
V (0.6706, 0.6706, 0.4918)
Ti (0.6630, 0.1677, 0.7153)
O (0.9942, 0.9942, 0.8125)
O (0.6748, 0.6748, 0.0994)
Li (0.3359, 0.3359, 0.3940)
O (0.8315, 0.3152, 0.6031)
O (0.3152, 0.8315, 0.6031)
Li (0.9914, 0.9914, 0.9952)
V (0.3370, 0.3370, 0.9852)
O (0.5271, 0.9653, 0.3358)
O (0.1494, 0.6824, 0.1073)
O (0.6824, 0.1494, 0.1073)
O (0.1558, 0.1558, 0.0958)
O (0.4906, 0.0378, 0.8316)
Sn (0.3389, 0.8330, 0.2156)
Li (0.9920, 0.9920, 0.5014)
O (0.9653, 0.5271, 0.3358)
Ti (0.1677, 0.6630, 0.7153)
Sn (0.8330, 0.3389, 0.2156)
O (0.3424, 0.3424, 0.6030)
O (0.9944, 0.9944, 0.3194)
O (0.8409, 0.8409, 0.6107)
O (0.0378, 0.4906, 0.8316)
Sn (0.1691, 0.1691, 0.7103)

Calculated values
ΔE_f: -248.7 kJ/mol of atoms



(6)
First-principles (PBE with a Hubbard U) data for an optimized crystal structure of Mg14FeSiO16, as listed in Materials Project.

abc: 8.6099 8.6099 4.2798
angles: 90.00 90.00 90.00
Element x y z (fractional)
Mg (0.0000, 0.2521, 0.5000)
O (0.0000, 0.5000, 0.5000)
Mg (0.5000, 0.7528, 0.5000)
Mg (0.0000, 0.5000, 0.0000)
Mg (0.7514, 0.2486, 0.0000)
O (0.7500, 0.2500, 0.5000)
O (0.5000, 0.0000, 0.5000)
Mg (0.2521, 0.0000, 0.5000)
O (0.7458, 0.0000, 0.0000)
Mg (0.7479, 0.0000, 0.5000)
O (0.7605, 0.5000, 0.0000)
O (0.2500, 0.2500, 0.5000)
Fe (0.0000, 0.0000, 0.0000)
Mg (0.0000, 0.7479, 0.5000)
Mg (0.7528, 0.5000, 0.5000)
Mg (0.2486, 0.7514, 0.0000)
Si (0.5000, 0.5000, 0.0000)
O (0.2395, 0.5000, 0.0000)
O (0.0000, 0.7458, 0.0000)
O (0.5000, 0.5000, 0.5000)
Mg (0.7514, 0.7514, 0.0000)
Mg (0.5000, 0.0000, 0.0000)
Mg (0.2472, 0.5000, 0.5000)
O (0.0000, 0.2542, 0.0000)
O (0.5000, 0.7605, 0.0000)
O (0.5000, 0.2395, 0.0000)
Mg (0.2486, 0.2486, 0.0000)
O (0.2542, 0.0000, 0.0000)
O (0.2500, 0.7500, 0.5000)
Mg (0.5000, 0.2472, 0.5000)
O (0.0000, 0.0000, 0.5000)
O (0.7500, 0.7500, 0.5000)

Calculated values
ΔE to the lowest computed polymorph: 0.0 kJ/mol of atoms
ΔE_f: -268.7 kJ/mol of atoms



(7)
First-principles (PBE with a Hubbard U) data for an optimized crystal structure of LiMn5P3O13, as listed in Materials Project.

abc: 6.4888 8.8096 9.7658
angles: 93.93 92.68 90.13
Element x y z (fractional)
Mn (0.7563, 0.1538, 0.0863)
O (0.7545, 0.2098, 0.8888)
P (0.2440, 0.4809, 0.7499)
O (0.5407, 0.8970, 0.8386)
O (0.9387, 0.9053, 0.8505)
O (0.9494, 0.7963, 0.5479)
Mn (0.7334, 0.2113, 0.4346)
Mn (0.2437, 0.8462, 0.9137)
O (0.4419, 0.3818, 0.7662)
P (0.7560, 0.5191, 0.2501)
O (0.7492, 0.0472, 0.6087)
O (0.0613, 0.0947, 0.1495)
O (0.7518, 0.3948, 0.1294)
O (0.7549, 0.9458, 0.3659)
Mn (0.4998, 0.1340, 0.7739)
Mn (0.7410, 0.4384, 0.8937)
O (0.7417, 0.8748, 0.0645)
O (0.5581, 0.6182, 0.2338)
Mn (0.5002, 0.8660, 0.2261)
Li (0.2169, 0.3980, 0.4475)
O (0.2482, 0.6052, 0.8706)
O (0.2455, 0.7902, 0.1112)
Mn (0.0003, 0.8619, 0.2234)
P (0.7432, 0.8307, 0.9048)
O (0.0506, 0.2037, 0.4521)
O (0.5768, 0.7844, 0.5351)
O (0.2451, 0.0542, 0.6341)
O (0.9570, 0.6166, 0.2469)
P (0.2568, 0.1693, 0.0952)
O (0.2508, 0.9528, 0.3913)
P (0.2419, 0.1066, 0.4807)
O (0.4232, 0.2156, 0.4649)
O (0.2426, 0.5543, 0.6071)
Mn (0.2590, 0.5616, 0.1063)
O (0.7574, 0.4457, 0.3929)
Mn (0.2666, 0.7887, 0.5654)
O (0.2508, 0.3403, 0.1288)
O (0.4593, 0.1030, 0.1614)
O (0.7492, 0.6597, 0.8712)
P (0.7581, 0.8934, 0.5193)
Li (0.7831, 0.6020, 0.5525)
O (0.0430, 0.3834, 0.7531)
O (0.2583, 0.1252, 0.9355)
Mn (0.9997, 0.1381, 0.7766)

Calculated values
ΔE to the lowest computed polymorph: 0.0 kJ/mol of atoms
ΔE_f: -237.7 kJ/mol of atoms



(8)
First-principles (PBE with a Hubbard U) data for an optimized crystal structure of TmMoBrO4, as listed in Materials Project.

abc: 6.9346 7.2315 10.8565
angles: 103.52 107.72 94.68
Element x y z (fractional)
Tm (0.3419, 0.8930, 0.2696)
O (0.6684, 0.5037, 0.4477)
O (0.3619, 0.3672, 0.7993)
O (0.3400, 0.2685, 0.0429)
O (0.6553, 0.7870, 0.7034)
O (0.0011, 0.8801, 0.2063)
Br (0.1903, 0.7194, 0.9828)
Br (0.2631, 0.0020, 0.5202)
Tm (0.6173, 0.3378, 0.2321)
O (0.5956, 0.0144, 0.1840)
O (0.9577, 0.3474, 0.3302)
Tm (0.3827, 0.6622, 0.7679)
O (0.2746, 0.6004, 0.3007)
Mo (0.2271, 0.4117, 0.3731)
O (0.9989, 0.1199, 0.7937)
Br (0.8097, 0.2806, 0.0172)
O (0.0423, 0.6526, 0.6698)
Mo (0.7729, 0.5883, 0.6269)
O (0.6600, 0.7315, 0.9571)
Mo (0.2706, 0.1856, 0.8657)
O (0.4044, 0.9856, 0.8160)
O (0.3316, 0.4963, 0.5523)
Tm (0.6581, 0.1070, 0.7304)
Br (0.7369, 0.9980, 0.4798)
Mo (0.7294, 0.8144, 0.1343)
O (0.6381, 0.6328, 0.2007)
O (0.7254, 0.3996, 0.6993)
O (0.3447, 0.2130, 0.2966)

Calculated values
ΔE_f: -243.2 kJ/mol of atoms



What did the sixth record say?
First-principles (PBE with a Hubbard U) data for an optimized crystal structure of Mg14FeSiO16, as listed in Materials Project.

abc: 8.6099 8.6099 4.2798
angles: 90.00 90.00 90.00
Element x y z (fractional)
Mg (0.0000, 0.2521, 0.5000)
O (0.0000, 0.5000, 0.5000)
Mg (0.5000, 0.7528, 0.5000)
Mg (0.0000, 0.5000, 0.0000)
Mg (0.7514, 0.2486, 0.0000)
O (0.7500, 0.2500, 0.5000)
O (0.5000, 0.0000, 0.5000)
Mg (0.2521, 0.0000, 0.5000)
O (0.7458, 0.0000, 0.0000)
Mg (0.7479, 0.0000, 0.5000)
O (0.7605, 0.5000, 0.0000)
O (0.2500, 0.2500, 0.5000)
Fe (0.0000, 0.0000, 0.0000)
Mg (0.0000, 0.7479, 0.5000)
Mg (0.7528, 0.5000, 0.5000)
Mg (0.2486, 0.7514, 0.0000)
Si (0.5000, 0.5000, 0.0000)
O (0.2395, 0.5000, 0.0000)
O (0.0000, 0.7458, 0.0000)
O (0.5000, 0.5000, 0.5000)
Mg (0.7514, 0.7514, 0.0000)
Mg (0.5000, 0.0000, 0.0000)
Mg (0.2472, 0.5000, 0.5000)
O (0.0000, 0.2542, 0.0000)
O (0.5000, 0.7605, 0.0000)
O (0.5000, 0.2395, 0.0000)
Mg (0.2486, 0.2486, 0.0000)
O (0.2542, 0.0000, 0.0000)
O (0.2500, 0.7500, 0.5000)
Mg (0.5000, 0.2472, 0.5000)
O (0.0000, 0.0000, 0.5000)
O (0.7500, 0.7500, 0.5000)

Calculated values
ΔE to the lowest computed polymorph: 0.0 kJ/mol of atoms
ΔE_f: -268.7 kJ/mol of atoms



Q: What is the ΔE_f in the sixth record?
A: -268.7 kJ/mol of atoms



Q: Among the records above, which one has the highest ΔE_f?
A: NaMnO2



Q: What is the formula in the third record?
A: Li5Nb2Fe3O10